No. 1
# Li4MnNbW2O12 | the Materials Project database | PBE with a Hubbard U | relaxed
# Formation energy in eV per atom: -2.40
# Total moment in μB/cell: 8.0
data_Li4MnNbW2O12
_chemical_formula_sum 'Li8 Mn2 Nb2 W4 O24'
_cell_length_a 7.475
_cell_length_b 9.062
_cell_length_c 7.491
_cell_angle_alpha 113.21
_cell_angle_beta 93.30
_cell_angle_gamma 67.76
_symmetry_space_group_name_H-M 'P 1'
_symmetry_Int_Tables_number 1
loop_
_symmetry_equiv_pos_as_xyz
'x,y,z'
loop_
_atom_site_label
_atom_site_type_symbol
_atom_site_fract_x
_atom_site_fract_y
_atom_site_fract_z
W1 W 0.499 0.013 0.009
W2 W 0.741 0.497 0.254
W3 W 0.999 0.013 0.509
W4 W 0.241 0.497 0.754
O1 O 0.295 0.558 0.526
O2 O 0.714 0.725 0.416
O3 O 0.485 0.934 0.211
O4 O 0.948 0.245 0.674
O5 O 0.042 0.044 0.274
O6 O 0.040 0.426 0.268
O7 O 0.448 0.245 0.174
O8 O 0.985 0.934 0.711
O9 O 0.225 0.427 0.957
O10 O 0.281 0.934 0.517
O11 O 0.540 0.426 0.767
O12 O 0.725 0.427 0.457
O13 O 0.476 0.558 0.206
O14 O 0.733 0.047 0.464
O15 O 0.821 0.266 0.053
O16 O 0.569 0.749 0.808
O17 O 0.069 0.749 0.308
O18 O 0.233 0.047 0.964
O19 O 0.321 0.266 0.553
O20 O 0.214 0.725 0.916
O21 O 0.976 0.558 0.706
O22 O 0.542 0.044 0.774
O23 O 0.781 0.934 0.018
O24 O 0.795 0.558 0.026
Nb1 Nb 0.233 0.518 0.265
Nb2 Nb 0.733 0.518 0.765
Li1 Li 0.068 0.273 0.935
Li2 Li 0.303 0.802 0.695
Li3 Li 0.105 0.257 0.394
Li4 Li 0.803 0.802 0.195
Li5 Li 0.568 0.273 0.435
Li6 Li 0.316 0.800 0.180
Li7 Li 0.605 0.257 0.894
Li8 Li 0.816 0.800 0.680
Mn1 Mn 0.499 0.998 0.501
Mn2 Mn 0.999 0.998 0.001

No. 2
# Li4MnNb2WO12 | the Materials Project database | PBE with a Hubbard U | relaxed
# SG: P1 (1)
# Formation energy in eV per atom: -2.50
# Total moment in μB/cell: 3.0
# Maximum piezoelectric response in C/m2: 3.664
data_Li4MnNb2WO12
_chemical_formula_sum 'Li4 Mn1 Nb2 W1 O12'
_cell_length_a 5.463
_cell_length_b 10.937
_cell_length_c 9.636
_cell_angle_alpha 28.18
_cell_angle_beta 51.11
_cell_angle_gamma 56.34
_symmetry_space_group_name_H-M 'P 1'
_symmetry_Int_Tables_number 1
loop_
_symmetry_equiv_pos_as_xyz
'x,y,z'
loop_
_atom_site_label
_atom_site_type_symbol
_atom_site_fract_x
_atom_site_fract_y
_atom_site_fract_z
Li1 Li 0.768 0.496 0.813
Li2 Li 0.254 0.998 0.312
Li3 Li 0.774 0.006 0.732
Li4 Li 0.324 0.499 0.271
W1 W 0.003 0.003 0.005
O1 O 0.243 0.614 0.632
O2 O 0.352 0.300 0.136
O3 O 0.887 0.691 0.239
O4 O 0.857 0.206 0.231
O5 O 0.643 0.690 0.858
O6 O 0.730 0.390 0.355
O7 O 0.369 0.819 0.113
O8 O 0.752 0.873 0.367
O9 O 0.624 0.172 0.885
O10 O 0.137 0.804 0.740
O11 O 0.225 0.124 0.634
O12 O 0.114 0.313 0.744
Mn1 Mn 0.002 0.500 0.999
Nb1 Nb 0.488 0.004 0.506
Nb2 Nb 0.525 0.498 0.502

No. 3
# LiNdMn4O12 | the Materials Project database | PBE with a Hubbard U | relaxed
# SG: P4/mmm (123)
# Formation energy in eV per atom: -1.64
# Total moment in μB/cell: 8.0
data_LiNdMn4O12
_chemical_formula_sum 'Li1 Nd1 Mn4 O12'
_cell_length_a 5.318
_cell_length_b 5.318
_cell_length_c 7.762
_cell_angle_alpha 90.00
_cell_angle_beta 90.00
_cell_angle_gamma 90.00
_symmetry_space_group_name_H-M 'P 1'
_symmetry_Int_Tables_number 1
loop_
_symmetry_equiv_pos_as_xyz
'x,y,z'
loop_
_atom_site_label
_atom_site_type_symbol
_atom_site_fract_x
_atom_site_fract_y
_atom_site_fract_z
Mn1 Mn 0.500 0.000 0.236
Mn2 Mn 0.000 0.500 0.236
Mn3 Mn 0.000 0.500 0.764
Mn4 Mn 0.500 0.000 0.764
O1 O 0.242 0.758 0.269
O2 O 0.758 0.242 0.731
O3 O 0.000 0.500 0.500
O4 O 0.242 0.242 0.731
O5 O 0.242 0.758 0.731
O6 O 0.000 0.500 0.000
O7 O 0.758 0.242 0.269
O8 O 0.758 0.758 0.269
O9 O 0.500 0.000 0.500
O10 O 0.242 0.242 0.269
O11 O 0.758 0.758 0.731
O12 O 0.500 0.000 0.000
Nd1 Nd 0.000 0.000 0.500
Li1 Li 0.500 0.500 0.000

No. 4
# Li3Mn3NiO8 | the Materials Project database | PBE with a Hubbard U | relaxed
# SG: C2/m (12)
# Formation energy in eV per atom: -1.92
# Total moment in μB/cell: 12.0
data_Li3Mn3NiO8
_chemical_formula_sum 'Li3 Mn3 Ni1 O8'
_cell_length_a 5.971
_cell_length_b 5.971
_cell_length_c 5.810
_cell_angle_alpha 61.37
_cell_angle_beta 61.37
_cell_angle_gamma 58.00
_symmetry_space_group_name_H-M 'P 1'
_symmetry_Int_Tables_number 1
loop_
_symmetry_equiv_pos_as_xyz
'x,y,z'
loop_
_atom_site_label
_atom_site_type_symbol
_atom_site_fract_x
_atom_site_fract_y
_atom_site_fract_z
Li1 Li 0.000 0.500 0.000
Li2 Li 0.000 0.000 0.000
Li3 Li 0.500 0.000 0.000
Mn1 Mn 0.500 0.000 0.500
Mn2 Mn 0.000 0.500 0.500
Mn3 Mn 0.500 0.500 0.500
O1 O 0.286 0.770 0.703
O2 O 0.241 0.241 0.281
O3 O 0.759 0.759 0.261
O4 O 0.714 0.230 0.297
O5 O 0.230 0.714 0.297
O6 O 0.759 0.759 0.719
O7 O 0.241 0.241 0.739
O8 O 0.770 0.286 0.703
Ni1 Ni 0.000 0.000 0.500

Question: Which of these has the lowest total moment?
Answer: Li4MnNb2WO12

Question: Which value of formation energy does entry 3 give?
Answer: -1.64 eV per atom